No. 1
Computed, not measured: SmFeNi4 after structural relaxation at the GGA-PBE level of DFT.

Cell and atoms, written as POSCAR:
```
SmFeNi4
1.0
-1.576 3.904 -2.648
-1.021 -0.284 4.859
3.355 1.908 0.816
Ni Sm Fe
4 1 1
Direct
0.333 0.667 0.000
0.666 0.833 0.500
0.167 0.334 0.500
0.167 0.833 0.500
0.667 0.333 0.000
0.000 0.000 0.000
```

Calculated values
As for the density: 8.67 g/cm3. Its energy of formation is -0.223 eV per atom. Its space-group type is No. 187.

***

No. 2
Computed, not measured: BaGeO4 after structural relaxation at the GGA-PBE level of DFT.

Cell and atoms, written as POSCAR:
```
BaGeO4
1.0
-3.075 6.538 -0.855
-4.157 -2.827 -5.330
-5.191 -1.870 5.216
Ge O Ba
4 16 4
Direct
0.918 0.263 0.296
0.621 0.224 0.800
0.082 0.737 0.704
0.379 0.776 0.200
0.773 0.415 0.182
0.463 0.142 0.959
0.757 0.095 0.377
0.485 0.330 0.641
0.537 0.858 0.041
0.752 0.049 0.691
0.934 0.637 0.539
0.937 0.851 0.856
0.219 0.603 0.119
0.515 0.670 0.359
0.066 0.363 0.461
0.243 0.905 0.623
0.781 0.397 0.881
0.248 0.951 0.309
0.227 0.585 0.818
0.063 0.149 0.144
0.580 0.706 0.703
0.119 0.225 0.797
0.881 0.775 0.203
0.420 0.294 0.297
```

Calculated values
As for the density: 4.50 g/cm3. Its energy of formation is -1.973 eV per atom. Its space-group type is No. 2.

***

No. 3
Computed, not measured: ZrO after structural relaxation at the GGA-PBE level of DFT.

Cell and atoms, written as POSCAR:
```
ZrO
1.0
0.000 2.313 2.313
2.313 0.000 2.313
2.313 2.313 0.000
Zr O
1 1
Direct
0.000 0.000 0.000
0.500 0.500 0.500
```

Calculated values
As for the density: 7.20 g/cm3. Its energy of formation is -2.560 eV per atom. Its space-group type is No. 225.

***

No. 4
Computed, not measured: BaSrI4 after structural relaxation at the GGA-PBE level of DFT.

Cell and atoms, written as POSCAR:
```
BaSrI4
1.0
8.410 0.000 0.000
0.000 9.700 0.000
0.000 0.000 14.727
I Sr Ba
16 4 4
Direct
0.115 0.047 0.216
0.615 0.953 0.284
0.237 0.750 0.523
0.885 0.453 0.216
0.263 0.250 0.977
0.237 0.250 0.477
0.263 0.750 0.023
0.737 0.250 0.977
0.615 0.453 0.716
0.737 0.750 0.023
0.885 0.953 0.784
0.385 0.547 0.284
0.385 0.047 0.716
0.763 0.250 0.477
0.115 0.547 0.784
0.763 0.750 0.523
0.000 0.500 0.000
0.500 0.500 0.500
0.500 0.000 0.500
0.000 0.000 0.000
0.000 0.750 0.325
0.500 0.750 0.825
0.000 0.250 0.675
0.500 0.250 0.175
```

Calculated values
As for the density: 4.05 g/cm3. Its energy of formation is -1.928 eV per atom. Its space-group type is No. 60.

***

No. 5
Computed, not measured: Nd3Zr after structural relaxation at the GGA-PBE level of DFT.

Cell and atoms, written as POSCAR:
```
Nd3Zr
1.0
-1.902 6.882 0.310
-4.938 -5.110 0.760
0.889 -0.011 5.696
Nd Zr
6 2
Direct
0.172 0.828 0.250
0.657 0.828 0.250
0.343 0.172 0.750
0.828 0.172 0.750
0.172 0.343 0.250
0.828 0.657 0.750
0.333 0.667 0.750
0.667 0.333 0.250
```

Calculated values
As for the density: 6.82 g/cm3. Its energy of formation is 0.145 eV per atom. Its space-group type is No. 194.

***

No. 6
Computed, not measured: Na2RuO3 after structural relaxation at the GGA-PBE level of DFT.

Cell and atoms, written as POSCAR:
```
Na2RuO3
1.0
4.744 2.748 0.000
-4.744 2.748 0.000
0.000 1.862 10.719
Na O Ru
8 12 4
Direct
0.843 0.680 0.002
0.913 0.087 0.750
0.680 0.843 0.502
0.157 0.320 0.998
0.000 0.500 0.500
0.320 0.157 0.498
0.087 0.913 0.250
0.500 0.000 0.000
0.509 0.683 0.850
0.244 0.047 0.854
0.874 0.420 0.853
0.683 0.509 0.350
0.317 0.491 0.650
0.756 0.953 0.146
0.420 0.874 0.353
0.491 0.317 0.150
0.953 0.756 0.646
0.580 0.126 0.647
0.126 0.580 0.147
0.047 0.244 0.354
0.246 0.754 0.750
0.580 0.420 0.750
0.420 0.580 0.250
0.754 0.246 0.250
```

Calculated values
As for the density: 4.64 g/cm3. As for the distance to the lowest polymorph of the same formula: 26.4 meV/atom. Its energy of formation is -1.626 eV per atom. Its space-group type is No. 15.